VASP calculation (PBE) on an optimized crystal structure of NaNb6S8.

Cell: 9.6276 9.6276 3.4321 Å, 90.00 90.00 120.00°
Space group P-3 (No. 147)
Asymmetric unit:
Na (0.0000, 0.0000, 0.0000)
Nb (0.1124, 0.4874, 0.7503)
S (0.0543, 0.7136, 0.7493)
S (0.3333, 0.6667, 0.2501)

- Uncorrected energy: -7.43 eV/atom
- E_form: -1.360 eV per atom

VASP calculation (PBE) on an optimized crystal structure of Na2Nb3Se6.

Cell: 3.5584 3.5584 45.4496 Å, 90.00 90.00 120.00°
Space group P3m1 (No. 156)
Asymmetric unit:
Na (0.0000, 0.0000, 0.0000)
Na (0.0000, 0.0000, 0.1668)
Na (0.0000, 0.0000, 0.3336)
Na (0.0000, 0.0000, 0.6668)
Nb (0.0000, 0.0000, 0.2501)
Nb (0.0000, 0.0000, 0.5830)
Nb (0.0000, 0.0000, 0.9164)
Nb (0.6667, 0.3333, 0.0835)
Nb (0.6667, 0.3333, 0.4172)
Nb (0.6667, 0.3333, 0.7506)
Se (0.3333, 0.6667, 0.0470)
Se (0.3333, 0.6667, 0.1200)
Se (0.3333, 0.6667, 0.2137)
Se (0.3333, 0.6667, 0.2866)
Se (0.3333, 0.6667, 0.3803)
Se (0.3333, 0.6667, 0.4531)
Se (0.3333, 0.6667, 0.5472)
Se (0.3333, 0.6667, 0.6199)
Se (0.3333, 0.6667, 0.7137)
Se (0.3333, 0.6667, 0.7864)
Se (0.3333, 0.6667, 0.8805)
Se (0.3333, 0.6667, 0.9532)

- Uncorrected energy: -5.85 eV/atom
- E_form: -1.207 eV per atom

VASP calculation (PBE) on an optimized crystal structure of NaNb2Se4.

Cell: 3.5474 3.5474 15.2427 Å, 90.00 90.00 120.00°
Space group P3m1 (No. 156)
Asymmetric unit:
Na (0.0000, 0.0000, 0.0000)
Nb (0.0000, 0.0000, 0.7493)
Nb (0.3333, 0.6667, 0.2516)
Se (0.6667, 0.3333, 0.1412)
Se (0.6667, 0.3333, 0.3592)
Se (0.6667, 0.3333, 0.6417)
Se (0.6667, 0.3333, 0.8596)

- Uncorrected energy: -6.00 eV/atom
- E_form: -1.198 eV per atom

VASP calculation (PBE) on an optimized crystal structure of NaNb6Te8.

Cell: 10.7470 10.7470 3.7062 Å, 90.00 90.00 120.00°
Space group P-3 (No. 147)
Asymmetric unit:
Na (0.0000, 0.0000, 0.0000)
Nb (0.1013, 0.6119, 0.7509)
Te (0.0615, 0.3327, 0.7482)
Te (0.3333, 0.6667, 0.2503)

- Uncorrected energy: -6.28 eV/atom
- E_form: -0.696 eV per atom

VASP calculation (PBE) on an optimized crystal structure of Na3Nd.

Cell: 7.3839 7.3839 5.8753 Å, 90.00 90.00 120.00°
Space group P6_3/mmc (No. 194)
Asymmetric unit:
Na (0.1614, 0.3227, 0.2500)
Nd (0.3333, 0.6667, 0.7500)

- Uncorrected energy: -1.87 eV/atom
- E_form: 0.317 eV per atom

VASP calculation (PBE) on an optimized crystal structure of NaNd3.

Cell: 5.1802 5.1802 5.1802 Å, 90.00 90.00 90.00°
Space group Pm-3m (No. 221)
Asymmetric unit:
Na (0.0000, 0.0000, 0.0000)
Nd (0.0000, 0.5000, 0.5000)

- Uncorrected energy: -3.66 eV/atom
- E_form: 0.247 eV per atom

VASP calculation (PBE) on an optimized crystal structure of NaNd2OsO6.

Cell: 5.5709 5.9870 9.7057 Å, 90.00 123.99 90.00°
Space group P2_1/c (No. 14)
Asymmetric unit:
Na (0.0000, 0.0000, 0.0000)
Nd (0.2244, 0.0717, 0.7462)
Os (0.5000, 0.0000, 0.5000)
O (0.1536, 0.1729, 0.4469)
O (0.2659, 0.7184, 0.4287)
O (0.3938, 0.0529, 0.2700)

- Uncorrected energy: -7.51 eV/atom
- E_form: -2.748 eV per atom

VASP calculation (PBE) on an optimized crystal structure of NaNdP4O12.

Cell: 7.3185 13.3650 12.3958 Å, 90.00 125.77 90.00°
Space group P2_1/c (No. 14)
Asymmetric unit:
Na (0.0631, 0.2231, 0.0638)
Nd (0.4651, 0.2215, 0.9782)
P (0.0070, 0.6012, 0.2583)
P (0.1124, 0.6142, 0.7335)
P (0.3402, 0.6263, 0.1963)
P (0.4328, 0.0911, 0.7023)
O (0.0678, 0.5130, 0.7835)
O (0.0927, 0.1474, 0.8987)
O (0.0951, 0.6225, 0.1683)
O (0.1896, 0.6118, 0.4049)
O (0.2013, 0.1638, 0.2958)
O (0.2140, 0.6856, 0.8478)
O (0.2960, 0.5807, 0.7079)
O (0.3188, 0.7053, 0.1033)
O (0.3460, 0.1607, 0.5867)
O (0.3525, 0.5198, 0.1395)
O (0.3691, 0.1125, 0.7953)
O (0.4794, 0.1344, 0.1572)

- Uncorrected energy: -7.29 eV/atom
- E_form: -2.904 eV per atom

VASP calculation (PBE) on an optimized crystal structure of NaNdSe2O10.

Cell: 11.3353 7.2208 11.2186 Å, 90.00 110.70 90.00°
Space group P2_1/c (No. 14)
Asymmetric unit:
Na (0.1302, 0.1436, 0.4637)
Nd (0.2513, 0.6142, 0.6660)
Se (0.0530, 0.6545, 0.3594)
Se (0.3943, 0.1277, 0.7209)
O (0.0711, 0.6778, 0.9679)
O (0.0999, 0.1054, 0.2149)
O (0.1105, 0.7055, 0.2463)
O (0.1303, 0.0242, 0.9495)
O (0.2983, 0.0355, 0.3811)
O (0.3071, 0.5615, 0.1631)
O (0.3101, 0.2004, 0.1313)
O (0.3790, 0.7047, 0.5242)
O (0.4149, 0.1626, 0.8771)
O (0.4681, 0.6080, 0.7998)

- Uncorrected energy: -5.39 eV/atom
- E_form: -1.410 eV per atom

VASP calculation (PBE) on an optimized crystal structure of Na5Nd4Si4O17.

Cell: 12.0095 12.0095 5.5568 Å, 90.00 90.00 90.00°
Space group I-4 (No. 82)
Asymmetric unit:
Na (0.0000, 0.0000, 0.0000)
Na (0.0898, 0.6050, 0.4901)
Nd (0.1167, 0.1822, 0.4794)
Si (0.1022, 0.7519, 0.9907)
O (0.0000, 0.0000, 0.5000)
O (0.0349, 0.7889, 0.7457)
O (0.0468, 0.8105, 0.2294)
O (0.1059, 0.6153, 0.0194)
O (0.2017, 0.2305, 0.0520)

- Uncorrected energy: -7.15 eV/atom
- E_form: -3.157 eV per atom

VASP calculation (PBE) on an optimized crystal structure of NaNdSi6O15.

Cell: 7.5296 31.3650 7.1627 Å, 90.00 90.00 90.00°
Space group Cmm2 (No. 35)
Asymmetric unit:
Na (0.0000, 0.1233, 0.0000)
Nd (0.0000, 0.3698, 0.0307)
Si (0.0000, 0.3183, 0.4348)
Si (0.0000, 0.4167, 0.5307)
Si (0.2068, 0.2027, 0.7390)
Si (0.2090, 0.0496, 0.2729)
O (0.0000, 0.0554, 0.3324)
O (0.0000, 0.2006, 0.6719)
O (0.0000, 0.3035, 0.2185)
O (0.0000, 0.3710, 0.4123)
O (0.0000, 0.4071, 0.7517)
O (0.1772, 0.3039, 0.5468)
O (0.1769, 0.4425, 0.4656)
O (0.2398, 0.4160, 0.1144)
O (0.2409, 0.0000, 0.2071)
O (0.2482, 0.3342, 0.8900)
O (0.2500, 0.2500, 0.8222)

- Uncorrected energy: -7.47 eV/atom
- E_form: -3.013 eV per atom

Q: What is the uncorrected energy in the eleventh record?
A: -7.47 eV/atom